[1]
Ti17N6O24 | Materials Project | GGA-PBE | relaxed; MP2020-corrected energy = -9.46 eV per atom
1.0
10.3955 0.0000 0.0000
5.1853 10.0304 0.0000
4.2268 0.0036 10.6711
Ti N O
34 12 48
direct
0.0693 0.0765 0.0519
0.0698 0.0766 0.3762
0.0879 0.0532 0.7117
0.1004 0.5715 0.2889
0.1023 0.5767 0.9481
0.1043 0.5775 0.6235
0.1771 0.7504 0.0684
0.1767 0.7506 0.3967
0.3214 0.2505 0.9332
0.3223 0.2490 0.2687
0.3230 0.2497 0.6011
0.3917 0.4426 0.7123
0.3949 0.4282 0.0473
0.3980 0.4298 0.3787
0.4238 0.9288 0.6208
0.4251 0.9277 0.9531
0.4264 0.9248 0.2873
0.5736 0.0752 0.7127
0.5749 0.0723 0.0469
0.5762 0.0712 0.3792
0.6020 0.5702 0.6213
0.6051 0.5718 0.9527
0.6083 0.5574 0.2877
0.6770 0.7503 0.3989
0.6777 0.7510 0.7313
0.6786 0.7495 0.0668
0.8233 0.2494 0.6033
0.8229 0.2496 0.9316
0.8957 0.4225 0.3765
0.8977 0.4233 0.0519
0.8996 0.4285 0.7111
0.9121 0.9468 0.2883
0.9302 0.9234 0.6238
0.9307 0.9235 0.9481
0.0946 0.7504 0.9414
0.0955 0.7507 0.5797
0.1028 0.7494 0.2569
0.3918 0.2501 0.4115
0.3936 0.2509 0.7440
0.3946 0.2501 0.0761
0.6054 0.7499 0.9239
0.6064 0.7491 0.2560
0.6082 0.7499 0.5885
0.8972 0.2506 0.7431
0.9045 0.2493 0.4203
0.9054 0.2496 0.0586
0.0293 0.0616 0.5650
0.0286 0.0617 0.8950
0.0486 0.0514 0.2251
0.1079 0.3803 0.9876
0.1077 0.3808 0.6484
0.1076 0.3818 0.3163
0.1501 0.5517 0.7749
0.1541 0.5660 0.4357
0.1582 0.5637 0.1052
0.2376 0.1223 0.6507
0.2394 0.1182 0.9844
0.2387 0.1193 0.3164
0.2622 0.8811 0.3511
0.2620 0.8892 0.6814
0.2638 0.8796 0.0128
0.3410 0.4388 0.5636
0.3421 0.4382 0.8960
0.3445 0.4352 0.2291
0.3894 0.6229 0.3492
0.3935 0.6184 0.0161
0.4024 0.6091 0.6807
0.4690 0.9343 0.4376
0.4693 0.9358 0.1044
0.4694 0.9369 0.7709
0.5306 0.0631 0.2291
0.5307 0.0642 0.8956
0.5310 0.0657 0.5624
0.5976 0.3909 0.3193
0.6065 0.3816 0.9839
0.6106 0.3771 0.6508
0.6555 0.5648 0.7709
0.6579 0.5618 0.1040
0.6590 0.5612 0.4364
0.7362 0.1204 0.9872
0.7380 0.1108 0.3186
0.7378 0.1189 0.6489
0.7613 0.8807 0.6836
0.7606 0.8818 0.0156
0.7624 0.8777 0.3493
0.8418 0.4363 0.8948
0.8459 0.4340 0.5643
0.8499 0.4483 0.2251
0.8924 0.6182 0.6837
0.8923 0.6192 0.3516
0.8921 0.6197 0.0124
0.9514 0.9486 0.7749
0.9714 0.9383 0.1050
0.9707 0.9384 0.4350

[2]
Ti17N6O24 | Materials Project | GGA-PBE | relaxed; MP2020-corrected energy = -9.45 eV per atom
1.0
9.6662 0.0000 0.0000
-4.8213 10.2112 0.0000
-0.0012 -2.1486 11.2757
Ti N O
34 12 48
direct
0.0694 0.4237 0.3993
0.0696 0.4231 0.0747
0.0879 0.4469 0.7414
0.1004 0.9282 0.3208
0.1023 0.9231 0.9829
0.1045 0.9230 0.6591
0.1766 0.7494 0.1270
0.1771 0.7495 0.4555
0.3207 0.2497 0.0415
0.3222 0.2505 0.3735
0.3235 0.2505 0.7104
0.3918 0.0575 0.8437
0.3951 0.0721 0.5114
0.3981 0.0701 0.1782
0.4241 0.5711 0.7621
0.4254 0.5729 0.4292
0.4260 0.5748 0.0950
0.5740 0.4252 0.9050
0.5746 0.4271 0.5708
0.5759 0.4289 0.2379
0.6019 0.9299 0.8218
0.6049 0.9279 0.4886
0.6082 0.9425 0.1563
0.6765 0.7495 0.2896
0.6778 0.7495 0.6265
0.6793 0.7503 0.9585
0.8229 0.2505 0.5445
0.8234 0.2506 0.8730
0.8955 0.0770 0.3409
0.8977 0.0769 0.0171
0.8996 0.0718 0.6792
0.9121 0.5531 0.2586
0.9304 0.5769 0.9253
0.9306 0.5763 0.6007
0.0951 0.7494 0.6105
0.0953 0.7495 0.9718
0.1024 0.7506 0.2924
0.3921 0.2501 0.2075
0.3934 0.2491 0.8757
0.3943 0.2498 0.5418
0.6057 0.7502 0.4582
0.6066 0.7509 0.1243
0.6079 0.7499 0.7925
0.8976 0.2494 0.7076
0.9047 0.2505 0.0282
0.9049 0.2506 0.3895
0.0286 0.4381 0.5748
0.0293 0.4384 0.9046
0.0484 0.4488 0.2416
0.1075 0.1186 0.3526
0.1076 0.1194 0.0234
0.1079 0.1189 0.6836
0.1502 0.9483 0.8246
0.1536 0.9337 0.1578
0.1589 0.9366 0.4876
0.2381 0.3776 0.7304
0.2388 0.3813 0.0638
0.2389 0.3815 0.3960
0.2624 0.6106 0.7682
0.2622 0.6192 0.1007
0.2634 0.6202 0.4396
0.3412 0.0616 0.0099
0.3420 0.0614 0.6773
0.3444 0.0647 0.3440
0.3895 0.8773 0.1466
0.3935 0.8814 0.4796
0.4024 0.8909 0.8153
0.4678 0.5664 0.2606
0.4698 0.5630 0.5941
0.4703 0.5636 0.9274
0.5297 0.4364 0.0726
0.5302 0.4370 0.4059
0.5322 0.4336 0.7394
0.5976 0.1091 0.1847
0.6065 0.1186 0.5204
0.6105 0.1227 0.8534
0.6556 0.9353 0.6560
0.6580 0.9386 0.3227
0.6587 0.9384 0.9901
0.7366 0.3798 0.5604
0.7378 0.3808 0.8993
0.7376 0.3894 0.2318
0.7611 0.6185 0.6040
0.7612 0.6187 0.9362
0.7619 0.6224 0.2696
0.8411 0.0634 0.5124
0.8464 0.0663 0.8422
0.8498 0.0517 0.1754
0.8921 0.8811 0.3164
0.8924 0.8806 0.9766
0.8925 0.8814 0.6474
0.9516 0.5512 0.7584
0.9707 0.5616 0.0954
0.9714 0.5619 0.4252

[3]
Ti17N6O24 | Materials Project | GGA-PBE | relaxed; MP2020-corrected energy = -9.45 eV per atom
1.0
9.6660 0.0000 0.0000
0.0000 10.0406 0.0000
-0.0059 0.0000 11.4724
Ti N O
34 12 48
direct
0.1356 0.0694 0.3326
0.1356 0.4306 0.3326
0.1405 0.0771 0.9960
0.1405 0.4229 0.9960
0.1439 0.0765 0.6724
0.1439 0.4235 0.6724
0.1955 0.7500 0.9984
0.1982 0.7500 0.3307
0.1987 0.7500 0.6714
0.3007 0.2500 0.1667
0.3022 0.2500 0.4987
0.3590 0.5723 0.4995
0.3590 0.9277 0.4995
0.3630 0.5600 0.8347
0.3630 0.9400 0.8347
0.3644 0.5704 0.1661
0.3644 0.9296 0.1661
0.6356 0.0704 0.8339
0.6356 0.4296 0.8339
0.6370 0.0600 0.1653
0.6370 0.4400 0.1653
0.6410 0.0723 0.5005
0.6410 0.4277 0.5005
0.6978 0.7500 0.5013
0.6993 0.7500 0.8333
0.8013 0.2500 0.3286
0.8018 0.2500 0.6693
0.8045 0.2500 0.0016
0.8561 0.5765 0.3276
0.8561 0.9235 0.3276
0.8595 0.5771 0.0040
0.8595 0.9229 0.0040
0.8644 0.5694 0.6674
0.8644 0.9306 0.6674
0.2201 0.2500 0.6537
0.2206 0.2500 0.0112
0.2265 0.2500 0.3345
0.2671 0.7500 0.1653
0.2688 0.7500 0.8335
0.2711 0.7500 0.5014
0.7289 0.2500 0.4986
0.7312 0.2500 0.1665
0.7329 0.2500 0.8347
0.7735 0.7500 0.6655
0.7794 0.7500 0.9888
0.7799 0.7500 0.3463
0.0484 0.6183 0.3328
0.0481 0.6197 0.0029
0.0481 0.6204 0.6643
0.0481 0.8803 0.0029
0.0481 0.8796 0.6643
0.0484 0.8817 0.3328
0.1758 0.0502 0.8330
0.1758 0.4498 0.8330
0.1862 0.0656 0.1686
0.1862 0.4344 0.1686
0.1908 0.0627 0.4983
0.1908 0.4373 0.4983
0.3108 0.5626 0.9996
0.3108 0.5627 0.6672
0.3108 0.9374 0.9996
0.3108 0.9373 0.6672
0.3118 0.5659 0.3331
0.3118 0.9341 0.3331
0.4504 0.1217 0.1664
0.4504 0.3783 0.1664
0.4529 0.1186 0.5001
0.4529 0.3814 0.5001
0.4561 0.1087 0.8332
0.4561 0.3913 0.8332
0.5439 0.6087 0.1668
0.5439 0.8913 0.1668
0.5471 0.6186 0.4999
0.5471 0.8814 0.4999
0.5496 0.6217 0.8336
0.5496 0.8783 0.8336
0.6882 0.0659 0.6669
0.6882 0.4341 0.6669
0.6892 0.0626 0.0004
0.6892 0.0627 0.3328
0.6892 0.4374 0.0004
0.6892 0.4373 0.3328
0.8092 0.5627 0.5017
0.8092 0.9373 0.5017
0.8138 0.5656 0.8314
0.8138 0.9344 0.8314
0.8242 0.5502 0.1670
0.8242 0.9498 0.1670
0.9516 0.1183 0.6672
0.9519 0.1204 0.3357
0.9519 0.1197 0.9971
0.9519 0.3796 0.3357
0.9519 0.3803 0.9971
0.9516 0.3817 0.6672